{"formula": "NiP2WO9", "functional": "PBE+U", "state": "optimized geometry", "sg": "Pnma (62)", "e_form_ev_per_fu": -29.7, "m_tot_mub_per_cell": 8.0, "final_energy_ev_per_atom": -6.972, "cell": [[14.0468, 0.0000, 0.0000], [0.0000, 6.4342, 0.0000], [0.0000, 0.0000, 8.0331]], "species": ["Ni", "Ni", "Ni", "Ni", "P", "P", "P", "P", "P", "P", "P", "P", "W", "W", "W", "W", "O", "O", "O", "O", "O", "O", "O", "O", "O", "O", "O", "O", "O", "O", "O", "O", "O", "O", "O", "O", "O", "O", "O", "O", "O", "O", "O", "O", "O", "O", "O", "O", "O", "O", "O", "O"], "frac_coords": [[0.0000, 0.0000, 0.0000], [0.0000, 0.5000, 0.0000], [0.5000, 0.0000, 0.5000], [0.5000, 0.5000, 0.5000], [0.0567, 0.2500, 0.3416], [0.1824, 0.2500, 0.8942], [0.3176, 0.7500, 0.3942], [0.4433, 0.7500, 0.8416], [0.5567, 0.2500, 0.1584], [0.6824, 0.2500, 0.6058], [0.8176, 0.7500, 0.1058], [0.9433, 0.7500, 0.6584], [0.1248, 0.7500, 0.3533], [0.3752, 0.2500, 0.8533], [0.6248, 0.7500, 0.1467], [0.8752, 0.2500, 0.6467], [0.0181, 0.2500, 0.1653], [0.0221, 0.7500, 0.5234], [0.0572, 0.7500, 0.1607], [0.1200, 0.0567, 0.3730], [0.1200, 0.4433, 0.3730], [0.1271, 0.0494, 0.8989], [0.1271, 0.4506, 0.8989], [0.2301, 0.7500, 0.5238], [0.2459, 0.7500, 0.2327], [0.2541, 0.2500, 0.7327], [0.2699, 0.2500, 0.0238], [0.3729, 0.5494, 0.3989], [0.3729, 0.9506, 0.3989], [0.3800, 0.5567, 0.8730], [0.3800, 0.9433, 0.8730], [0.4428, 0.2500, 0.6607], [0.4779, 0.2500, 0.0234], [0.4819, 0.7500, 0.6653], [0.5181, 0.2500, 0.3347], [0.5221, 0.7500, 0.9766], [0.5572, 0.7500, 0.3393], [0.6200, 0.0567, 0.1270], [0.6200, 0.4433, 0.1270], [0.6271, 0.0494, 0.6011], [0.6271, 0.4506, 0.6011], [0.7301, 0.7500, 0.9762], [0.7459, 0.7500, 0.2673], [0.7541, 0.2500, 0.7673], [0.7699, 0.2500, 0.4762], [0.8729, 0.5494, 0.1011], [0.8729, 0.9506, 0.1011], [0.8800, 0.5567, 0.6270], [0.8800, 0.9433, 0.6270], [0.9428, 0.2500, 0.8393], [0.9779, 0.2500, 0.4766], [0.9819, 0.7500, 0.8347]]}